No. 1
# CaB8H4O15

CaB8H4O15 after structural relaxation (PBE, the Materials Project).

Properties
Calculated formation energy   -72.88 eV per formula unit
Total magnetization   0.00 μB per formula unit

```
CaB8H4O15
1.0
7.5977 0.0000 0.0000
0.0000 8.4078 0.0000
-3.0410 0.0000 9.3501
Ca B H O
2 16 8 30
Cartesian
-0.0385 0.0000 2.6235
4.5952 4.2039 6.7266
-1.3685 5.6690 4.5575
0.2014 5.5834 0.1748
-2.1095 7.6839 8.4506
-1.2731 7.7045 6.0088
0.1002 5.2478 2.6333
0.3354 7.7438 7.9416
0.8499 4.3283 6.8200
1.6824 4.4367 4.4621
2.8743 0.2328 4.8880
3.7068 0.1244 2.5301
4.2213 3.5399 1.4085
4.4566 1.0439 6.7168
5.8298 3.5006 3.3413
6.6662 3.4800 0.8995
4.3553 1.3795 9.1753
5.9252 1.4651 4.7926
-0.2604 3.9696 8.4734
2.4719 8.2627 0.9681
1.0508 8.0319 5.3770
2.3047 3.9600 1.6555
2.2521 8.1639 7.6946
3.5060 3.8280 3.9731
2.0848 4.0588 8.3820
4.8171 8.1735 0.8767
-1.8000 6.3984 5.6314
-2.6212 6.3216 8.3947
-2.1901 8.3035 7.0656
0.1888 0.0803 0.0633
-1.1568 0.1918 4.8661
-0.5512 6.1659 3.5672
0.3612 6.0607 1.4488
-0.3416 4.0882 7.4909
-0.6829 7.7038 8.8577
0.0853 7.5969 6.6032
1.3517 4.6767 3.1524
0.7406 4.5617 5.4657
1.5972 8.2395 4.5583
2.4672 0.1515 1.9358
2.9427 3.7492 0.9297
1.6140 7.9531 8.4204
2.0895 4.3554 7.4143
2.9595 4.0356 4.7918
3.8162 0.3578 3.8844
3.2050 0.4728 6.1977
4.4714 3.3930 2.7469
5.2396 3.4999 0.4924
4.8983 8.2921 1.8592
4.1955 1.8568 7.9013
5.1079 1.9620 5.7829
5.7135 4.3957 4.4840
4.3679 4.2842 9.2868
7.1779 2.1177 0.9554
6.7468 4.0996 2.2845
6.3567 2.1945 3.7187
```


No. 2
# NaGeAu

NaGeAu after structural relaxation (PBE, the Materials Project).

Properties
Calculated formation energy   -0.92 eV per formula unit

```
NaGeAu
1.0
-2.2563 3.6853 3.8082
2.2563 -3.6853 3.8082
2.2563 3.6853 -3.8082
Na Ge Au
2 2 2
Cartesian
0.0000 0.0000 0.0000
0.0000 3.6853 0.9612
2.2563 -1.2935 1.7565
2.2563 1.2935 1.7565
2.2563 2.1922 -0.7108
0.0000 1.4931 3.0974
```


No. 3
# Cd13I28

Cd13I28 after structural relaxation (PBE, the Materials Project).

Properties
Calculated formation energy   -32.13 eV per formula unit
Total magnetization   2.15 μB per formula unit

```
Cd13I28
1.0
4.3388 0.0000 0.0000
-2.1694 3.7575 0.0000
0.0000 0.0000 102.4297
Cd I
13 28
Cartesian
0.0000 0.0000 0.0000
0.0000 0.0000 7.3127
0.0000 0.0000 14.6371
0.0000 0.0000 43.9017
0.0000 0.0000 58.5272
0.0000 0.0000 73.1678
0.0000 0.0000 87.7976
2.1694 1.2525 21.9921
2.1694 1.2525 36.5376
2.1694 1.2525 51.2167
2.1694 1.2525 65.8472
2.1694 1.2525 80.4845
2.1694 1.2525 95.1158
0.0000 0.0000 20.2603
0.0000 0.0000 34.8114
0.0000 0.0000 49.4911
0.0000 0.0000 64.1249
0.0000 0.0000 78.7549
0.0000 0.0000 93.3904
0.0000 2.5050 1.7314
0.0000 2.5050 9.0427
0.0000 2.5050 16.3599
0.0000 2.5050 23.7152
0.0000 2.5050 30.4741
0.0000 2.5050 38.2671
0.0000 2.5050 45.6245
0.0000 2.5050 52.9415
0.0000 2.5050 60.2583
0.0000 2.5050 67.5748
0.0000 2.5050 74.8887
0.0000 2.5050 82.2057
0.0000 2.5050 89.5245
0.0000 2.5050 96.8405
2.1694 1.2525 5.5951
2.1694 1.2525 12.9086
2.1694 1.2525 28.0776
2.1694 1.2525 42.1763
2.1694 1.2525 56.8101
2.1694 1.2525 71.4402
2.1694 1.2525 86.0744
2.1694 1.2525 100.7129
```


No. 4
# Na8Ca3Si3GeS3O24

Na8Ca3Si3GeS3O24 after structural relaxation (PBE, the Materials Project).

Properties
Calculated formation energy   -105.68 eV per formula unit
Total magnetization   0.00 μB per formula unit

```
Na8Ca3Si3GeS3O24
1.0
9.3328 0.0000 0.0000
4.6403 8.1894 0.0000
0.2522 0.3882 22.6788
Na Ca Si Ge S O
24 9 9 3 9 72
Cartesian
0.0000 0.0000 0.0000
1.7951 3.1069 16.6983
0.2570 0.3830 6.8570
3.5730 6.1297 10.6630
1.9001 2.9610 5.3514
0.8322 0.5498 15.1084
3.7261 5.3738 3.5870
2.8625 0.3593 3.8652
6.1676 5.6544 1.7897
3.5258 0.7518 18.3235
4.7498 2.9460 6.6871
4.9881 3.3065 14.8486
5.1254 3.1341 0.0916
6.7486 5.9343 13.1532
8.2993 8.2451 10.9344
7.7739 3.1523 11.2409
9.3070 5.5679 15.0369
9.7803 6.2244 22.2010
6.4754 0.2476 8.8042
8.0718 3.0910 3.5018
9.7488 5.9452 7.1574
6.7494 0.4456 20.3988
8.4061 3.1362 18.3668
12.4193 6.0362 18.8151
1.9397 3.3262 20.0838
1.8779 3.0751 13.4439
1.9096 3.0917 8.6520
1.9620 2.9952 1.9939
6.4805 6.0013 9.1845
6.4127 5.7577 5.0300
6.5661 5.9555 16.3597
6.5516 0.4547 12.5849
6.4844 0.2216 1.1847
3.4904 5.9150 7.1611
5.0321 8.5010 18.3914
3.5932 5.8412 22.1586
3.4367 0.1677 7.1626
3.8603 0.4670 14.8243
5.1141 2.6418 3.4241
9.3341 6.1106 18.5203
7.9370 2.8296 14.8237
9.2320 0.3143 3.4250
6.4967 6.4306 20.6158
6.5977 0.4676 17.0349
6.4944 0.2786 5.5867
0.5030 0.5870 11.0140
4.7487 3.1906 11.0005
3.3693 0.7248 22.2126
5.2919 3.4678 18.5905
7.8830 3.2059 7.2755
9.7789 6.0076 3.4681
8.4619 3.4185 22.3144
9.7558 5.5846 11.0488
12.5438 6.2111 14.8539
0.8461 1.3594 9.8085
2.9660 5.0737 20.8961
0.9516 1.3105 12.2272
3.2960 4.5750 0.8565
4.3361 6.3168 8.5281
5.3866 7.5192 19.7577
5.6626 7.8034 17.1137
4.6717 5.9997 14.9400
4.4947 5.4439 5.9902
5.5127 7.1889 3.5423
5.8206 7.4369 11.0152
2.8259 1.6881 7.2021
3.4943 2.7906 3.6538
3.0407 1.8866 15.0064
5.3491 5.9421 21.9491
2.5933 1.0022 0.7396
3.8388 3.1615 18.7317
3.8551 3.1428 9.8303
3.9529 3.2756 12.2481
3.0747 1.4789 20.9942
7.2591 7.5628 22.1574
7.3201 7.5278 5.9993
5.4547 4.1634 17.3033
5.6267 4.4021 10.9404
7.5081 7.3659 14.8967
5.8352 4.2901 19.7137
5.8675 4.0911 3.5232
8.0151 7.5281 8.5928
5.4756 1.9684 2.0055
4.6063 0.3368 13.4033
5.6032 1.9593 10.9570
8.1341 6.4028 19.8369
4.8195 0.4342 22.2915
5.0026 0.5760 16.1545
5.6381 1.6344 4.7127
7.1748 4.2726 14.9051
6.0535 2.1609 18.6103
5.1063 0.2523 6.8635
8.2644 5.7407 11.0793
7.7045 4.7024 22.2773
8.3267 5.7800 3.6137
7.4170 3.9282 8.4918
8.5296 5.7651 17.1957
7.6248 4.0194 6.0728
10.2308 7.5761 18.4611
7.1491 1.9098 7.2135
10.0003 6.7213 2.2003
7.5162 2.2635 22.3411
7.5333 2.1868 13.3991
10.3123 6.7842 4.6460
10.4120 6.9337 10.9687
7.5202 1.7702 16.1490
9.1021 3.0766 0.8268
10.1627 4.8765 12.2861
9.2747 3.2426 21.0906
10.1668 4.8157 9.8609
10.3313 4.8867 18.8305
9.3388 2.9258 7.3355
11.9901 7.3710 6.8546
10.4937 4.7029 3.4744
12.6424 8.4614 18.3514
8.1025 0.4471 4.7218
9.5615 2.9932 14.9990
12.0210 6.9566 16.0657
12.2667 7.3427 22.2205
8.3554 0.3709 11.0085
12.2753 6.9405 13.6080
8.4406 0.1564 2.0300
11.6899 4.7543 7.3118
11.8545 4.8919 14.8671
10.0825 1.7173 3.5467
10.3067 1.8076 18.6081
```


No. 5
# Li2CuF5

Li2CuF5 after structural relaxation (PBE, the Materials Project).

Properties
Calculated formation energy   -19.22 eV per formula unit
Total magnetization   2.00 μB per formula unit

```
Li2CuF5
1.0
7.3168 0.0000 0.0000
0.0000 8.6251 0.0000
0.0000 0.0000 2.9133
Li Cu F
4 2 10
Cartesian
0.4708 1.2268 0.0000
3.1876 5.5393 0.0000
4.1292 3.0858 0.0000
6.8460 7.3983 0.0000
0.0000 4.3125 1.4567
3.6584 0.0000 1.4567
0.0000 0.0000 1.4567
0.6887 2.5506 1.4567
1.1988 4.8157 0.0000
2.4596 0.5031 0.0000
2.9696 6.8632 1.4567
3.6584 4.3125 1.4567
4.3471 1.7619 1.4567
4.8572 8.1220 0.0000
6.1180 3.8094 0.0000
6.6280 6.0745 1.4567
```


No. 6
# Nb3InSe12

Nb3InSe12 after structural relaxation (PBE, the Materials Project).

Properties
Calculated formation energy   -13.40 eV per formula unit
Total magnetization   0.02 μB per formula unit

```
Nb3InSe12
1.0
9.2248 0.0000 0.0000
0.0000 9.2248 0.0000
0.0000 0.0000 19.6515
Nb In Se
12 4 48
Cartesian
0.0000 4.6124 1.8137
0.0000 4.6124 4.9129
0.0000 4.6124 8.0121
0.0000 4.6124 11.6394
0.0000 4.6124 14.7386
0.0000 4.6124 17.8378
4.6124 0.0000 1.8137
4.6124 0.0000 4.9129
4.6124 0.0000 8.0121
4.6124 0.0000 11.6394
4.6124 0.0000 14.7386
4.6124 0.0000 17.8378
0.0000 0.0000 3.2265
0.0000 0.0000 16.4250
4.6124 4.6124 6.5993
4.6124 4.6124 13.0523
0.4023 2.6363 9.8258
0.6347 6.6769 6.4726
0.6347 6.6769 13.1789
1.0899 6.4110 0.0000
1.0955 2.7123 3.2621
1.0955 2.7123 16.3894
1.7986 5.7023 9.8258
1.9001 3.5169 6.5636
1.9001 3.5169 13.0879
1.9761 4.2101 0.0000
2.0645 5.2471 3.3531
2.0645 5.2471 16.2984
2.5479 0.6347 6.4726
2.5479 0.6347 13.1789
2.6363 8.8225 9.8258
2.7123 8.1293 3.2621
2.7123 8.1293 16.3894
2.8138 1.0899 0.0000
3.5169 7.3247 6.5636
3.5169 7.3247 13.0879
3.5224 1.7986 9.8258
3.9777 2.0645 3.3531
3.9777 2.0645 16.2984
4.2101 7.2487 0.0000
5.0147 1.9761 0.0000
5.2471 7.1603 3.3531
5.2471 7.1603 16.2984
5.7023 7.4262 9.8258
5.7078 1.9001 6.5636
5.7078 1.9001 13.0879
6.4110 8.1348 0.0000
6.5125 1.0955 3.2621
6.5125 1.0955 16.3894
6.5885 0.4023 9.8258
6.6769 8.5901 6.4726
6.6769 8.5901 13.1789
7.1603 3.9777 3.3531
7.1603 3.9777 16.2984
7.2487 5.0147 0.0000
7.3247 5.7078 6.5636
7.3247 5.7078 13.0879
7.4262 3.5224 9.8258
8.1293 6.5125 3.2621
8.1293 6.5125 16.3894
8.1348 2.8138 0.0000
8.5901 2.5479 6.4726
8.5901 2.5479 13.1789
8.8225 6.5885 9.8258
```


No. 7
# Ca2IrRhO6

Ca2IrRhO6 after structural relaxation (PBE, the Materials Project).

Properties
Calculated formation energy   -21.06 eV per formula unit

```
Ca2IrRhO6
1.0
4.9238 -1.5947 0.0000
4.9238 1.5947 0.0000
-0.0380 0.0000 7.3761
Ca Ir Rh O
2 1 1 6
Cartesian
2.4419 0.0000 1.9054
7.3677 0.0000 5.4707
4.9238 0.0000 0.0000
4.9048 0.0000 3.6881
1.1880 0.0000 7.0148
1.2566 0.0000 4.0565
4.1561 0.0000 5.5544
5.6534 0.0000 1.8217
8.5530 0.0000 3.3197
8.6216 0.0000 0.3614
```


No. 8
# TiPd

TiPd after structural relaxation (PBE, the Materials Project).

Properties
Calculated formation energy   -0.95 eV per formula unit
Total magnetization   0.04 μB per formula unit

```
TiPd
1.0
3.1758 0.0000 0.0000
0.0000 3.1758 0.0000
0.0000 0.0000 3.1758
Ti Pd
1 1
Cartesian
0.0000 0.0000 0.0000
1.5879 1.5879 1.5879
```


No. 9
# K3Na

K3Na after structural relaxation (PBE, the Materials Project).

Properties
Calculated formation energy   0.10 eV per formula unit

```
K3Na
1.0
9.0437 0.0000 0.0000
-4.5218 7.8321 0.0000
0.0000 0.0000 7.0972
K Na
6 2
Cartesian
0.0000 2.6894 1.7743
-2.1928 6.4874 1.7743
2.3291 1.3447 5.3229
2.1928 6.4874 1.7743
6.7146 1.3447 5.3229
4.5218 5.1427 5.3229
0.0000 5.2214 5.3229
4.5218 2.6107 1.7743
```


No. 10
# TlSb

TlSb after structural relaxation (PBE, the Materials Project).

Properties
Calculated formation energy   0.14 eV per formula unit
Total magnetization   0.00 μB per formula unit

```
TlSb
1.0
3.9006 0.0000 0.0000
0.0000 3.9006 0.0000
0.0000 0.0000 3.9006
Tl Sb
1 1
Cartesian
0.0000 0.0000 0.0000
1.9503 1.9503 1.9503
```


No. 11
# Be2IrPt

Be2IrPt after structural relaxation (PBE, the Materials Project).

Properties
Calculated formation energy   -2.84 eV per formula unit

```
Be2IrPt
1.0
0.0000 2.8198 2.8198
2.8198 0.0000 2.8198
2.8198 2.8198 0.0000
Be Ir Pt
2 1 1
Cartesian
1.4099 1.4099 1.4099
4.2297 4.2297 4.2297
0.0000 0.0000 0.0000
2.8198 2.8198 2.8198
```